# 1
Below is crystalline EuIn2 at its relaxed geometry, with properties calculated at the PBE level.

abc: 5.0502 5.0502 7.7746
angles: 90.00 90.00 120.00
Last column: nearest neighbours and their distance in Å.
Positions (direct):
Eu 0.0000 0.0000 0.2500  6 In 3.32
Eu 0.0000 0.0000 0.7500  6 In 3.32
In 0.3333 0.6667 0.0468  4 In 3.01-3.16, 3 Eu 3.32
In 0.3333 0.6667 0.4532  4 In 3.01-3.16, 3 Eu 3.32
In 0.6667 0.3333 0.5468  4 In 3.01-3.16, 3 Eu 3.32
In 0.6667 0.3333 0.9532  4 In 3.01-3.16, 3 Eu 3.32

***

# 2
Below is crystalline CuHg3As2Br3 at its relaxed geometry, with properties calculated at the PBE level.

Summary:
The total magnetization comes out at 0.0 μB/f.u.

abc: 13.5686 13.5686 15.3859
angles: 121.89 121.89 41.11
Last column: nearest neighbours and their distance in Å.
Positions (direct):
Cu 0.0963 0.5642 0.2101  2 Br 2.36
Cu 0.1134 0.8866 0.7500  4 Br 2.40-2.67
Cu 0.4358 0.9037 0.2899  2 Br 2.36
Cu 0.5642 0.0963 0.7101  2 Br 2.36
Cu 0.8866 0.1134 0.2500  4 Br 2.40-2.67
Cu 0.9037 0.4358 0.7899  2 Br 2.36
Hg 0.0000 0.0000 0.0000  2 As 2.59
Hg 0.0000 0.0000 0.5000  2 As 2.59
Hg 0.0346 0.6286 0.7508  2 As 2.59-2.60
Hg 0.1614 0.1686 0.5012  2 As 2.59-2.60
Hg 0.1686 0.1614 0.0012  2 As 2.59-2.60
Hg 0.3212 0.6788 0.2500  2 As 2.59
Hg 0.3270 0.3354 0.4977  2 As 2.58
Hg 0.3354 0.3270 0.9977  2 As 2.58
Hg 0.3714 0.9654 0.7492  2 As 2.59-2.60
Hg 0.5000 0.5000 0.0000  2 As 2.56
Hg 0.5000 0.5000 0.5000  2 As 2.56
Hg 0.6286 0.0346 0.2508  2 As 2.59-2.60
Hg 0.6646 0.6730 0.0023  2 As 2.58
Hg 0.6730 0.6646 0.5023  2 As 2.58
Hg 0.6788 0.3212 0.7500  2 As 2.59
Hg 0.8314 0.8386 0.9988  2 As 2.59-2.60
Hg 0.8386 0.8314 0.4988  2 As 2.59-2.60
Hg 0.9654 0.3714 0.2492  2 As 2.59-2.60
As 0.0451 0.7553 0.9499  1 As 2.46, 3 Hg 2.59
As 0.0882 0.3732 0.4481  1 As 2.44, 3 Hg 2.58-2.60
As 0.2447 0.9549 0.5501  1 As 2.46, 3 Hg 2.59
As 0.2996 0.5652 0.0488  1 As 2.46, 3 Hg 2.56-2.59
As 0.3732 0.0882 0.9481  1 As 2.44, 3 Hg 2.58-2.60
As 0.4348 0.7004 0.4512  1 As 2.46, 3 Hg 2.56-2.59
As 0.5652 0.2996 0.5488  1 As 2.46, 3 Hg 2.56-2.59
As 0.6268 0.9118 0.0519  1 As 2.44, 3 Hg 2.58-2.60
As 0.7004 0.4348 0.9512  1 As 2.46, 3 Hg 2.56-2.59
As 0.7553 0.0451 0.4499  1 As 2.46, 3 Hg 2.59
As 0.9118 0.6268 0.5519  1 As 2.44, 3 Hg 2.58-2.60
As 0.9549 0.2447 0.0501  1 As 2.46, 3 Hg 2.59
Br 0.9997 0.1548 0.7510  2 Cu 2.67-2.74
Br 0.0000 0.5000 0.0000  2 Cu 2.68
Br 0.0003 0.8452 0.2490  2 Cu 2.67-2.74
Br 0.0936 0.3591 0.7386  1 Cu 2.36
Br 0.1548 0.9997 0.2510  2 Cu 2.67-2.74
Br 0.1803 0.7115 0.5848  1 Cu 2.40
Br 0.2885 0.8197 0.9152  1 Cu 2.40
Br 0.3591 0.0936 0.2386  1 Cu 2.36
Br 0.3681 0.3908 0.2459  1 Cu 2.36
Br 0.3908 0.3681 0.7459  1 Cu 2.36
Br 0.5000 0.0000 0.5000  2 Cu 2.68
Br 0.6092 0.6319 0.2541  1 Cu 2.36
Br 0.6319 0.6092 0.7541  1 Cu 2.36
Br 0.6409 0.9064 0.7614  1 Cu 2.36
Br 0.7115 0.1803 0.0848  1 Cu 2.40
Br 0.8197 0.2885 0.4152  1 Cu 2.40
Br 0.8452 0.0003 0.7490  2 Cu 2.67-2.74
Br 0.9064 0.6409 0.2614  1 Cu 2.36

***

# 3
Below is crystalline NpTaO3 at its relaxed geometry, with properties calculated at the PBE level.

Summary:
The total magnetization comes out at 4.6 μB/f.u.

abc: 4.0385 4.0385 4.0385
angles: 90.00 90.00 90.00
Last column: nearest neighbours and their distance in Å.
Positions (direct):
Np 0.0000 0.0000 0.0000  12 O 2.86
Ta 0.5000 0.5000 0.5000  6 O 2.02
O 0.0000 0.5000 0.5000  2 Ta 2.02
O 0.5000 0.0000 0.5000  2 Ta 2.02
O 0.5000 0.5000 0.0000  2 Ta 2.02

***

# 4
Below is crystalline Sm4NiS7 at its relaxed geometry, with properties calculated at the PBE level.

Summary:
The total magnetization comes out at 2.0 μB/f.u.

abc: 9.7583 9.7583 6.6826
angles: 90.00 90.00 120.00
Last column: nearest neighbours and their distance in Å.
Positions (direct):
Sm 0.1445 0.7716 0.0000  6 S 2.71-2.99
Sm 0.2284 0.3730 0.0000  6 S 2.71-2.99
Sm 0.3333 0.6667 0.5428  4 S 2.61-2.64
Sm 0.3730 0.1445 0.5000  6 S 2.71-2.99
Sm 0.6270 0.8555 0.0000  6 S 2.71-2.99
Sm 0.6667 0.3333 0.0428  4 S 2.61-2.64
Sm 0.7716 0.6270 0.5000  6 S 2.71-2.99
Sm 0.8555 0.2284 0.5000  6 S 2.71-2.99
Ni 0.0000 0.0000 0.1938  6 S 2.43-2.65
Ni 0.0000 0.0000 0.6938  6 S 2.43-2.65
S 0.0722 0.5035 0.7554  3 Sm 2.64-2.93
S 0.0910 0.8666 0.4189  2 Ni 2.43-2.65
S 0.1334 0.2244 0.4189  2 Ni 2.43-2.65
S 0.2244 0.0910 0.9189  2 Ni 2.43-2.65
S 0.3333 0.6667 0.1516  4 Sm 2.61-2.71
S 0.4313 0.9278 0.7554  3 Sm 2.64-2.93
S 0.4965 0.5687 0.7554  3 Sm 2.64-2.93
S 0.5035 0.4313 0.2554  3 Sm 2.64-2.93
S 0.5687 0.0722 0.2554  3 Sm 2.64-2.93
S 0.6667 0.3333 0.6516  4 Sm 2.61-2.71
S 0.7756 0.9090 0.4189  2 Ni 2.43-2.65
S 0.8666 0.7756 0.9189  2 Ni 2.43-2.65
S 0.9090 0.1334 0.9189  2 Ni 2.43-2.65
S 0.9278 0.4965 0.2554  3 Sm 2.64-2.93

***

# 5
Below is crystalline Rb3NpH8O9 at its relaxed geometry, with properties calculated at the PBE level.

Summary:
The total magnetization comes out at 0.0 μB/f.u.

abc: 8.3811 8.3811 7.9387
angles: 92.65 92.65 84.11
Last column: nearest neighbours and their distance in Å.
Positions (direct):
Rb 0.0612 0.9388 0.7500  8 O 2.95-3.20, 4 H 3.01-3.14
Rb 0.2074 0.3872 0.5396  4 H 2.88-3.16, 6 O 2.92-3.21
Rb 0.3872 0.2074 0.0396  4 H 2.88-3.16, 6 O 2.92-3.21
Rb 0.6128 0.7926 0.9604  4 H 2.88-3.16, 6 O 2.92-3.21
Rb 0.7926 0.6128 0.4604  4 H 2.88-3.16, 6 O 2.92-3.21
Rb 0.9388 0.0612 0.2500  8 O 2.95-3.20, 4 H 3.01-3.14
Np 0.0000 0.5000 0.0000  4 O 1.90-1.93
Np 0.5000 0.0000 0.5000  4 O 1.90-1.93
H 0.0676 0.7196 0.3113  1 O 0.99
H 0.2186 0.7448 0.4426  1 O 1.01
H 0.2552 0.7814 0.0574  1 O 1.01
H 0.2804 0.9324 0.1887  1 O 0.99
H 0.3260 0.5588 0.9073  1 O 0.98
H 0.3991 0.5401 0.1588  1 O 1.02
H 0.4412 0.6740 0.5927  1 O 0.98
H 0.4599 0.6009 0.3412  1 O 1.02
H 0.5401 0.3991 0.6588  1 O 1.02
H 0.5588 0.3260 0.4073  1 O 0.98
H 0.6009 0.4599 0.8412  1 O 1.02
H 0.6740 0.4412 0.0927  1 O 0.98
H 0.7196 0.0676 0.8113  1 O 0.99
H 0.7448 0.2186 0.9426  1 O 1.01
H 0.7814 0.2552 0.5574  1 O 1.01
H 0.9324 0.2804 0.6887  1 O 0.99
O 0.0470 0.3945 0.2052  1 Np 1.90
O 0.0730 0.3074 0.8716  1 H 1.85, 1 Np 1.93
O 0.0979 0.7473 0.4303  2 H 0.99-1.01
O 0.2527 0.9021 0.0697  2 H 0.99-1.01
O 0.2659 0.5849 0.0102  1 H 0.98
O 0.3074 0.0730 0.3716  1 H 1.85, 1 Np 1.93
O 0.3945 0.0470 0.7052  1 Np 1.90
O 0.4151 0.7341 0.4898  1 H 0.98
O 0.4866 0.5134 0.2500  2 H 1.02
O 0.5134 0.4866 0.7500  2 H 1.02
O 0.5849 0.2659 0.5102  1 H 0.98
O 0.6055 0.9530 0.2948  1 Np 1.90
O 0.6926 0.9270 0.6284  1 H 1.85, 1 Np 1.93
O 0.7341 0.4151 0.9898  1 H 0.98
O 0.7473 0.0979 0.9303  2 H 0.99-1.01
O 0.9021 0.2527 0.5697  2 H 0.99-1.01
O 0.9270 0.6926 0.1284  1 H 1.85, 1 Np 1.93
O 0.9530 0.6055 0.7948  1 Np 1.90

***

# 6
Below is crystalline Pr3Np at its relaxed geometry, with properties calculated at the PBE level.

Summary:
The total magnetization comes out at 5.2 μB/f.u.

abc: 5.1429 5.1429 5.1429
angles: 90.00 90.00 90.00
Last column: nearest neighbours and their distance in Å.
Positions (direct):
Pr 0.0000 0.0000 0.5000  8 Pr 3.64, 4 Np 3.64
Pr 0.0000 0.5000 0.0000  8 Pr 3.64, 4 Np 3.64
Pr 0.5000 0.0000 0.0000  8 Pr 3.64, 4 Np 3.64
Np 0.5000 0.5000 0.5000  12 Pr 3.64

***

# 7
Below is crystalline CaPbSe2 at its relaxed geometry, with properties calculated at the PBE level.

abc: 4.3199 4.3199 6.1284
angles: 90.00 90.00 90.00
Last column: nearest neighbours and their distance in Å.
Positions (direct):
Ca 0.0000 0.0000 0.0000  6 Se 3.05-3.06
Pb 0.5000 0.5000 0.5000  6 Se 3.05-3.06
Se 0.0000 0.0000 0.5000  4 Pb 3.05, 2 Ca 3.06
Se 0.5000 0.5000 0.0000  4 Ca 3.05, 2 Pb 3.06

***

# 8
Below is crystalline LuAs at its relaxed geometry, with properties calculated at the PBE level.

Summary:
The total magnetization comes out at 0.0 μB/f.u.

abc: 3.5095 3.5095 3.5095
angles: 90.00 90.00 90.00
Last column: nearest neighbours and their distance in Å.
Positions (direct):
Lu 0.0000 0.0000 0.0000  8 As 3.04
As 0.5000 0.5000 0.5000  8 Lu 3.04

***

Values of ΔH_f (0 K), in order: -0.48 -0.44 -2.68 -1.92 -1.87 0.39 -1.52 -0.97, all in eV per atom.